(1)
## La4Bi4S8O3F (PBE)

Data for La4Bi4S8O3F after structural relaxation.

Results
- formation enthalpy at 0 K (eV/f.u.) = -42.59
- space group = I-42m (121)
- calculated total energy (eV/atom) = -6.06

Cell: 14.3266 14.3266 14.3266 Å, 156.75 156.75 33.12°
With the nearest neighbours (Å) after each atom.
Atoms (fractional coordinates):
La  0.2875  0.8091  0.0000  3 O 2.36-2.44, 1 F 2.51
La  0.8091  0.2875  0.0000  3 O 2.36-2.44, 1 F 2.51
La  0.1909  0.1909  0.4784  3 O 2.36-2.44, 1 F 2.51
La  0.7125  0.7125  0.5216  3 O 2.36-2.44, 1 F 2.51
Bi  0.4380  0.4380  0.5004  5 S 2.59-2.89
Bi  0.9376  0.9376  0.4996  5 S 2.59-2.89
Bi  0.0624  0.5620  0.0000  5 S 2.59-2.89
Bi  0.5620  0.0624  0.0000  5 S 2.59-2.89
S  0.4405  0.9412  0.0000  4 Bi 2.89
S  0.9412  0.4405  0.0000  4 Bi 2.89
S  0.0588  0.0588  0.4992  4 Bi 2.89
S  0.5595  0.5595  0.5008  4 Bi 2.89
S  0.3449  0.3449  0.5025  1 Bi 2.59
S  0.8424  0.8424  0.4975  1 Bi 2.59
S  0.1576  0.6551  0.0000  1 Bi 2.59
S  0.6551  0.1576  0.0000  1 Bi 2.59
O  0.0000  0.0000  0.0000  4 La 2.36
O  0.0000  0.5000  0.5000  4 La 2.44
O  0.5000  0.0000  0.5000  4 La 2.44
F  0.5000  0.5000  0.0000  4 La 2.51

(2)
## Na9NbZn5Si3S6O36 (PBE)

Data for Na9NbZn5Si3S6O36 after structural relaxation.

Results
- formation enthalpy at 0 K (eV/f.u.) = -132.22
- space group = Cc (9)
- calculated total energy (eV/atom) = -5.92

Cell: 9.1129 9.0392 22.3228 Å, 89.92 90.00 120.27°
With the nearest neighbours (Å) after each atom.
Atoms (fractional coordinates):
Na  0.6457  0.0088  0.2391  4 O 2.34-2.54
Na  0.3780  0.3487  0.2486  5 O 2.44-2.71
Na  0.9938  0.6489  0.2443  6 O 2.42-2.69
Na  0.6551  0.6489  0.7443  6 O 2.42-2.69
Na  0.9707  0.3487  0.7486  5 O 2.44-2.71
Na  0.3631  0.0088  0.7391  4 O 2.34-2.54
Na  0.2973  0.3326  0.5773  5 O 2.36-2.51
Na  0.0352  0.3326  0.0773  5 O 2.36-2.51
Na  0.9584  0.6604  0.9133  5 O 2.40-2.58
Na  0.7179  0.0459  0.9123  5 O 2.32-2.53
Na  0.3280  0.0459  0.4123  5 O 2.32-2.53
Na  0.7020  0.6604  0.4133  5 O 2.40-2.58
Na  0.9989  0.0144  0.5008  5 O 2.40-2.64
Na  0.0155  0.0144  0.0008  5 O 2.40-2.64
Na  0.6768  0.3338  0.8318  6 O 2.43-2.72
Na  0.6571  0.3338  0.3318  6 O 2.43-2.72
Na  0.3521  0.6912  0.1556  3 O 2.31-2.46
Na  0.3390  0.6912  0.6556  3 O 2.31-2.46
Nb  0.3423  0.6635  0.3149  5 O 1.90-2.08
Nb  0.3211  0.6635  0.8149  5 O 1.90-2.08
Zn  0.0207  0.0075  0.3450  4 O 1.96-2.13
Zn  0.9868  0.0075  0.8450  4 O 1.96-2.13
Zn  0.9684  0.9592  0.6563  3 O 1.92-2.10
Zn  0.9908  0.9592  0.1563  3 O 1.92-2.10
Zn  0.6857  0.3350  0.6819  5 O 2.02-2.20
Zn  0.6493  0.3350  0.1819  5 O 2.02-2.20
Zn  0.6762  0.3359  0.9852  5 O 2.04-2.27
Zn  0.6597  0.3359  0.4852  5 O 2.04-2.27
Zn  0.3305  0.6533  0.0147  4 O 1.92-2.15
Zn  0.3228  0.6533  0.5147  4 O 1.92-2.15
Si  0.3008  0.0013  0.2509  4 O 1.61-1.70
Si  0.7148  0.7125  0.2533  4 O 1.62-1.72
Si  0.9977  0.7125  0.7533  4 O 1.62-1.72
Si  0.7006  0.0013  0.7509  4 O 1.61-1.70
Si  0.0330  0.3591  0.9226  4 O 1.60-1.73
Si  0.3261  0.3591  0.4226  4 O 1.60-1.73
S  0.0030  0.2978  0.2495  4 O 1.46-1.55
S  0.2948  0.2978  0.7495  4 O 1.46-1.55
S  0.9650  0.3341  0.5827  4 O 1.48-1.51
S  0.3678  0.0350  0.5820  4 O 1.48-1.50
S  0.6672  0.6302  0.5833  4 O 1.48-1.50
S  0.9630  0.6302  0.0833  4 O 1.48-1.50
S  0.6673  0.0350  0.0820  4 O 1.48-1.50
S  0.3692  0.3341  0.0827  4 O 1.48-1.51
S  0.6209  0.6617  0.9185  4 O 1.47-1.52
S  0.3338  0.9591  0.9190  4 O 1.46-1.57
S  0.6253  0.9591  0.4190  4 O 1.46-1.57
S  0.0408  0.6617  0.4185  4 O 1.47-1.52
O  0.2375  0.0512  0.3114  1 Si 1.62
O  0.8198  0.7913  0.3148  1 Si 1.62
O  0.9735  0.1908  0.3024  1 S 1.46
O  0.2174  0.1908  0.8024  1 S 1.46
O  0.9715  0.7913  0.8148  1 Si 1.62
O  0.8137  0.0512  0.8114  1 Si 1.62
O  0.7739  0.9440  0.6954  1 Si 1.61
O  0.1920  0.2348  0.6947  1 S 1.47
O  0.0692  0.8440  0.6974  1 Si 1.62
O  0.7749  0.8440  0.1974  1 Si 1.62
O  0.0429  0.2348  0.1947  1 S 1.47
O  0.1700  0.9440  0.1954  1 Si 1.61
O  0.8897  0.3491  0.6402  1 S 1.49
O  0.4686  0.1177  0.6372  1 S 1.49
O  0.6467  0.5229  0.6373  1 S 1.50
O  0.8763  0.5229  0.1373  1 S 1.50
O  0.6491  0.1177  0.1372  1 S 1.49
O  0.4594  0.3491  0.1402  1 S 1.49
O  0.4610  0.3196  0.0305  1 S 1.48
O  0.8665  0.5478  0.0274  1 S 1.49
O  0.6847  0.1397  0.0273  1 S 1.50
O  0.4550  0.1397  0.5273  1 S 1.50
O  0.6813  0.5478  0.5274  1 S 1.49
O  0.8586  0.3196  0.5305  1 S 1.48
O  0.5393  0.6902  0.9703  1 S 1.47
O  0.1386  0.4530  0.9818  1 Si 1.60
O  0.3144  0.8511  0.9706  1 S 1.46
O  0.5367  0.8511  0.4706  1 S 1.46
O  0.3145  0.4530  0.4818  1 Si 1.60
O  0.1509  0.6902  0.4703  1 S 1.47
O  0.1287  0.6510  0.3621  1 S 1.52
O  0.5149  0.8706  0.3621  1 S 1.57
O  0.3467  0.4939  0.3640  1 Si 1.73, 1 Nb 1.90
O  0.1472  0.4939  0.8640  1 Si 1.73, 1 Nb 1.90
O  0.3557  0.8706  0.8621  1 S 1.57
O  0.5223  0.6510  0.8621  1 S 1.52
O  0.0184  0.8131  0.4148  1 S 1.48
O  0.7902  0.9709  0.4119  1 S 1.46
O  0.1601  0.1709  0.4146  1 Si 1.62
O  0.0107  0.1709  0.9146  1 Si 1.62
O  0.1807  0.9709  0.9119  1 S 1.46
O  0.7946  0.8131  0.9148  1 S 1.48
O  0.9896  0.1830  0.5843  1 S 1.49
O  0.2014  0.0295  0.5848  1 S 1.49
O  0.8226  0.8016  0.5855  1 S 1.48
O  0.9790  0.8016  0.0855  1 S 1.48
O  0.8282  0.0295  0.0848  1 S 1.49
O  0.1935  0.1830  0.0843  1 S 1.49
O  0.6597  0.1574  0.7425  1 Si 1.64
O  0.4694  0.3277  0.7433  1 S 1.48
O  0.8334  0.5210  0.7449  1 Si 1.63
O  0.6876  0.5210  0.2449  1 Si 1.63
O  0.8584  0.3277  0.2433  1 S 1.48
O  0.4977  0.1574  0.2425  1 Si 1.64
O  0.6309  0.5031  0.9206  1 S 1.48
O  0.8496  0.3575  0.9184  1 Si 1.67
O  0.4928  0.1266  0.9191  1 S 1.48
O  0.6338  0.1266  0.4191  1 S 1.48
O  0.5079  0.3575  0.4184  1 Si 1.67
O  0.8722  0.5031  0.4206  1 S 1.48
O  0.3541  0.4928  0.0805  1 S 1.51
O  0.1338  0.6439  0.0819  1 S 1.50
O  0.5147  0.8617  0.0772  1 S 1.48
O  0.3470  0.8617  0.5772  1 S 1.48
O  0.5101  0.6439  0.5819  1 S 1.50
O  0.1387  0.4928  0.5805  1 S 1.51
O  0.3138  0.8226  0.2621  1 Si 1.70
O  0.5123  0.6788  0.2618  1 Si 1.72, 1 Nb 1.90
O  0.1609  0.4770  0.2587  1 S 1.55
O  0.3161  0.4770  0.7587  1 S 1.55
O  0.1666  0.6788  0.7618  1 Si 1.72, 1 Nb 1.90
O  0.5088  0.8226  0.7621  1 Si 1.70

(3)
## ZrZn4N4 (PBE)

Data for ZrZn4N4 after structural relaxation.

Results
- formation enthalpy at 0 K (eV/f.u.) = -3.60
- space group = P-1 (2)
- calculated total energy (eV/atom) = -5.45

Cell: 5.5848 5.6503 8.8121 Å, 65.96 87.28 65.21°
With the nearest neighbours (Å) after each atom.
Atoms (fractional coordinates):
Zr  0.7670  0.7404  0.8090  4 N 2.11-2.19
Zr  0.2330  0.2596  0.1910  4 N 2.11-2.19
Zn  0.6675  0.6288  0.2128  4 N 2.04-2.22
Zn  0.3325  0.3712  0.7872  4 N 2.04-2.22
Zn  0.8002  0.1153  0.0684  3 N 1.96-2.13
Zn  0.1998  0.8847  0.9316  3 N 1.96-2.13
Zn  0.7679  0.4667  0.5541  3 N 2.01-2.12
Zn  0.2321  0.5333  0.4459  3 N 2.01-2.12
Zn  0.2678  0.9251  0.5559  3 N 1.98-2.20
Zn  0.7322  0.0749  0.4441  3 N 1.98-2.20
N  0.9607  0.6701  0.6032  3 Zn 1.98-2.12, 1 Zr 2.16
N  0.0393  0.3299  0.3968  3 Zn 1.98-2.12, 1 Zr 2.16
N  0.8967  0.7589  0.0334  3 Zn 2.01-2.13, 1 Zr 2.19
N  0.1033  0.2411  0.9666  3 Zn 2.01-2.13, 1 Zr 2.19
N  0.4155  0.6900  0.7987  3 Zn 1.96-2.08, 1 Zr 2.11
N  0.5845  0.3100  0.2013  3 Zn 1.96-2.08, 1 Zr 2.11
N  0.4025  0.8030  0.3490  3 Zn 2.01-2.20, 1 Zr 2.15
N  0.5975  0.1970  0.6510  3 Zn 2.01-2.20, 1 Zr 2.15

(4)
## Li2Cu2F5 (PBE)

Data for Li2Cu2F5 after structural relaxation.

Results
- formation enthalpy at 0 K (eV/f.u.) = -20.28
- space group = Pnma (62)
- calculated total energy (eV/atom) = -4.40

Cell: 2.9275 7.7467 17.8356 Å, 90.00 90.00 90.00°
With the nearest neighbours (Å) after each atom.
Atoms (fractional coordinates):
Li  0.7500  0.1470  0.0259  5 F 1.99-2.03
Li  0.7500  0.8625  0.1270  5 F 1.95-2.07
Li  0.2500  0.3625  0.3730  5 F 1.95-2.07
Li  0.2500  0.6470  0.4741  5 F 1.99-2.03
Li  0.7500  0.3530  0.5259  5 F 1.99-2.03
Li  0.7500  0.6375  0.6270  5 F 1.95-2.07
Li  0.2500  0.1375  0.8730  5 F 1.95-2.07
Li  0.2500  0.8530  0.9741  5 F 1.99-2.03
Cu  0.2500  0.5055  0.0861  2 F 1.86-1.91
Cu  0.2500  0.1762  0.1979  4 F 1.96-2.00
Cu  0.7500  0.6762  0.3021  4 F 1.96-2.00
Cu  0.7500  0.0055  0.4139  2 F 1.86-1.91
Cu  0.2500  0.9945  0.5861  2 F 1.86-1.91
Cu  0.2500  0.3238  0.6979  4 F 1.96-2.00
Cu  0.7500  0.8238  0.8021  4 F 1.96-2.00
Cu  0.7500  0.4945  0.9139  2 F 1.86-1.91
F  0.2500  0.3238  0.0138  1 Cu 1.91, 2 Li 2.02
F  0.2500  0.9930  0.0678  5 Li 1.99-2.07
F  0.2500  0.7019  0.1460  1 Cu 1.86, 2 Li 1.95
F  0.7500  0.3258  0.1582  2 Cu 2.00
F  0.7500  0.0122  0.2149  1 Li 1.95, 2 Cu 1.96
F  0.2500  0.5122  0.2851  1 Li 1.95, 2 Cu 1.96
F  0.2500  0.8258  0.3418  2 Cu 2.00
F  0.7500  0.2019  0.3540  1 Cu 1.86, 2 Li 1.95
F  0.7500  0.4930  0.4322  5 Li 1.99-2.07
F  0.7500  0.8238  0.4862  1 Cu 1.91, 2 Li 2.02
F  0.2500  0.1762  0.5138  1 Cu 1.91, 2 Li 2.02
F  0.2500  0.5070  0.5678  5 Li 1.99-2.07
F  0.2500  0.7981  0.6460  1 Cu 1.86, 2 Li 1.95
F  0.7500  0.1742  0.6582  2 Cu 2.00
F  0.7500  0.4878  0.7149  1 Li 1.95, 2 Cu 1.96
F  0.2500  0.9878  0.7851  1 Li 1.95, 2 Cu 1.96
F  0.2500  0.6742  0.8418  2 Cu 2.00
F  0.7500  0.2981  0.8540  1 Cu 1.86, 2 Li 1.95
F  0.7500  0.0070  0.9322  5 Li 1.99-2.07
F  0.7500  0.6762  0.9862  1 Cu 1.91, 2 Li 2.02

(5)
## VS (PBE)

Data for VS after structural relaxation.

Results
- formation enthalpy at 0 K (eV/f.u.) = -2.26
- space group = P6_3/mmc (194)
- calculated total energy (eV/atom) = -7.49

Cell: 3.1698 3.1698 6.1271 Å, 90.00 90.00 120.00°
With the nearest neighbours (Å) after each atom.
Atoms (fractional coordinates):
V  0.0000  0.0000  0.0000  6 S 2.39
V  0.0000  0.0000  0.5000  6 S 2.39
S  0.3333  0.6667  0.7500  6 V 2.39
S  0.6667  0.3333  0.2500  6 V 2.39

Look up the calculated total energy of the first one. -6.06 eV/atom

What is the formula in the third record? ZrZn4N4

Copy entry 4 word for word.
## Li2Cu2F5 (PBE)

Data for Li2Cu2F5 after structural relaxation.

Results
- formation enthalpy at 0 K (eV/f.u.) = -20.28
- space group = Pnma (62)
- calculated total energy (eV/atom) = -4.40

Cell: 2.9275 7.7467 17.8356 Å, 90.00 90.00 90.00°
With the nearest neighbours (Å) after each atom.
Atoms (fractional coordinates):
Li  0.7500  0.1470  0.0259  5 F 1.99-2.03
Li  0.7500  0.8625  0.1270  5 F 1.95-2.07
Li  0.2500  0.3625  0.3730  5 F 1.95-2.07
Li  0.2500  0.6470  0.4741  5 F 1.99-2.03
Li  0.7500  0.3530  0.5259  5 F 1.99-2.03
Li  0.7500  0.6375  0.6270  5 F 1.95-2.07
Li  0.2500  0.1375  0.8730  5 F 1.95-2.07
Li  0.2500  0.8530  0.9741  5 F 1.99-2.03
Cu  0.2500  0.5055  0.0861  2 F 1.86-1.91
Cu  0.2500  0.1762  0.1979  4 F 1.96-2.00
Cu  0.7500  0.6762  0.3021  4 F 1.96-2.00
Cu  0.7500  0.0055  0.4139  2 F 1.86-1.91
Cu  0.2500  0.9945  0.5861  2 F 1.86-1.91
Cu  0.2500  0.3238  0.6979  4 F 1.96-2.00
Cu  0.7500  0.8238  0.8021  4 F 1.96-2.00
Cu  0.7500  0.4945  0.9139  2 F 1.86-1.91
F  0.2500  0.3238  0.0138  1 Cu 1.91, 2 Li 2.02
F  0.2500  0.9930  0.0678  5 Li 1.99-2.07
F  0.2500  0.7019  0.1460  1 Cu 1.86, 2 Li 1.95
F  0.7500  0.3258  0.1582  2 Cu 2.00
F  0.7500  0.0122  0.2149  1 Li 1.95, 2 Cu 1.96
F  0.2500  0.5122  0.2851  1 Li 1.95, 2 Cu 1.96
F  0.2500  0.8258  0.3418  2 Cu 2.00
F  0.7500  0.2019  0.3540  1 Cu 1.86, 2 Li 1.95
F  0.7500  0.4930  0.4322  5 Li 1.99-2.07
F  0.7500  0.8238  0.4862  1 Cu 1.91, 2 Li 2.02
F  0.2500  0.1762  0.5138  1 Cu 1.91, 2 Li 2.02
F  0.2500  0.5070  0.5678  5 Li 1.99-2.07
F  0.2500  0.7981  0.6460  1 Cu 1.86, 2 Li 1.95
F  0.7500  0.1742  0.6582  2 Cu 2.00
F  0.7500  0.4878  0.7149  1 Li 1.95, 2 Cu 1.96
F  0.2500  0.9878  0.7851  1 Li 1.95, 2 Cu 1.96
F  0.2500  0.6742  0.8418  2 Cu 2.00
F  0.7500  0.2981  0.8540  1 Cu 1.86, 2 Li 1.95
F  0.7500  0.0070  0.9322  5 Li 1.99-2.07
F  0.7500  0.6762  0.9862  1 Cu 1.91, 2 Li 2.02

Which value of calculated total energy does entry 3 give? -5.45 eV/atom